1.
56
Lattice="7.356 0.000 0.000 0.000 7.061 0.000 0.000 1.178 14.876" Properties=species:S:1:pos:R:3 comment="SrCoF5, relaxed, DFT PBE with a Hubbard U" total_magnetization_mub_per_cell=16.002 space_group="P2_1/c, No. 14" pbc="T T T"
Sr 6.196 2.289 1.280
Sr 2.518 5.362 6.158
Sr 1.160 5.951 13.596
Sr 2.541 7.199 2.016
Sr 4.838 2.878 8.718
Sr 1.137 7.789 9.454
Sr 6.219 0.451 5.422
Sr 4.815 1.040 12.861
F 2.492 5.111 3.578
F 5.916 2.772 6.433
F 0.387 3.131 11.482
F 4.864 3.129 11.298
F 6.032 7.389 7.950
F 2.238 4.878 1.005
F 1.324 0.850 6.926
F 1.444 0.576 4.365
F 5.912 7.664 10.511
F 4.065 5.698 10.832
F 1.440 5.468 8.443
F 5.118 3.361 13.871
F 3.687 5.971 13.412
F 7.348 5.382 5.974
F 7.293 1.067 13.239
F 6.103 5.643 12.658
F 3.741 0.478 5.801
F 0.610 3.562 14.267
F 6.969 5.109 3.394
F 2.424 3.186 9.657
F 2.692 3.787 12.693
F 1.254 2.597 2.218
F 0.063 7.173 1.637
F 3.615 7.762 9.075
F 2.234 1.165 11.803
F 5.002 6.800 0.512
F 4.664 4.453 2.183
F 3.669 2.268 1.464
F 6.170 2.540 3.860
F 4.289 5.267 8.048
F 0.009 2.858 8.902
F 2.354 1.440 14.364
F 6.371 5.042 9.621
F 4.932 5.054 5.220
F 0.986 3.198 5.255
F 3.291 2.541 4.044
F 3.068 2.973 6.828
F 6.746 4.678 0.610
F 1.186 5.700 11.016
F 5.122 7.075 3.073
Co 0.894 4.266 9.859
Co 1.354 2.381 12.995
Co 6.002 5.858 1.881
Co 2.784 3.677 2.421
Co 2.324 1.792 5.557
Co 5.032 6.448 9.319
Co 6.462 3.974 5.017
Co 4.572 4.563 12.455

2.
48
Lattice="-5.066 -1.015 -4.131 6.532 -1.823 -7.589 3.245 -9.724 -1.630" Properties=species:S:1:pos:R:3 comment="Na2NiPCO7, relaxed, DFT PBE with a Hubbard U" relative_energy_ev_per_atom=0.008 total_magnetization_mub_per_cell=3.999 space_group="P1, No. 1" pbc="T T T"
O 6.129 -7.019 -8.437
O 3.281 -4.962 -3.481
O 0.210 -10.379 -5.708
O 1.903 -1.711 -4.575
O 3.352 -4.068 -5.885
O 5.226 -5.098 -7.954
O -0.213 -2.591 -9.070
O 1.321 -8.520 -7.478
O -0.573 -7.426 -5.455
O 2.806 -10.836 -8.700
O -2.153 -2.553 -4.690
O 1.365 -5.378 -5.005
O 1.461 -7.668 -9.870
O 4.467 -2.190 -7.672
O 2.962 -10.235 -5.755
O 4.847 -9.849 -4.244
O 1.846 -8.337 -2.910
O -0.308 -3.622 -6.723
O 3.549 -6.555 -5.419
O 6.925 -9.946 -8.770
O 3.369 -7.247 -8.342
O 1.727 -2.328 -7.539
O 0.169 -3.367 -2.053
O -1.393 -5.484 -4.919
O 4.538 -9.102 -11.306
O 1.195 -6.066 -7.884
O 5.008 -8.948 -6.645
O 3.020 -4.323 -10.488
Ni 4.827 -6.891 -6.874
Ni 1.519 -10.488 -7.260
Ni 3.221 -2.088 -6.065
Ni -0.087 -5.640 -6.482
C 6.039 -5.751 -8.712
C -2.929 -1.933 -3.840
C 7.683 -10.640 -9.550
C -1.348 -6.758 -4.656
Na 2.867 -4.360 -8.209
Na 0.020 -3.483 -4.382
Na 2.448 -3.004 -2.391
Na 1.630 -8.138 -5.199
Na 4.043 -7.655 -3.232
Na 2.312 -9.653 -10.991
Na -0.462 -1.097 -1.633
Na 4.735 -9.124 -9.004
P 0.191 -2.452 -7.596
P 2.902 -5.194 -4.957
P 1.835 -7.386 -8.407
P 4.505 -10.084 -5.738

3.
14
Lattice="4.045 3.318 0.000 -4.045 3.318 0.000 0.000 2.994 6.322" Properties=species:S:1:pos:R:3 comment="VPO5, relaxed, DFT PBE with a Hubbard U" relative_energy_ev_per_atom=0.059 total_magnetization_mub_per_cell=0.000 space_group="C2/c, No. 15" pbc="T T T"
O 3.533 5.564 4.742
O 0.489 3.243 2.521
O 2.277 5.016 2.429
O 0.489 4.891 0.640
O -2.277 6.513 5.590
O 2.277 3.117 0.732
O -2.277 4.614 3.893
O -0.489 6.387 3.801
O -0.489 4.740 5.682
O -3.533 4.067 1.581
V 0.000 0.000 0.000
V 0.000 1.497 3.161
P -1.394 5.564 4.742
P 1.394 4.067 1.581

4.
112
Lattice="-15.998 0.042 5.675 1.027 -7.632 2.952 5.093 4.013 14.326" Properties=species:S:1:pos:R:3 comment="Fe2P3C8N3Cl4O8, relaxed, DFT PBE with a Hubbard U" total_magnetization_mub_per_cell=0.056 space_group="P2_1, No. 4" pbc="T T T"
N -2.300 -7.116 3.918
N 2.210 -3.274 10.619
N 0.464 -1.616 18.280
N -6.840 -0.318 10.473
N 0.476 -4.108 17.142
N 0.099 -1.808 9.617
N 2.424 -0.549 10.379
N -6.535 -3.044 10.529
N -13.031 -1.955 5.627
N -7.855 -1.776 12.583
N -6.101 3.534 18.512
N -12.293 0.535 6.499
C -5.987 -3.514 7.619
C -3.351 2.703 14.765
C -13.798 -6.262 10.768
C -9.682 -1.886 18.810
C -11.313 -0.045 17.967
C -11.272 -2.303 13.770
C -4.285 -3.289 18.208
C -10.920 -3.977 15.596
C -10.611 -0.385 15.202
C -8.942 -2.292 15.685
C -7.906 -1.934 7.165
C -6.433 0.078 7.486
C -0.667 -0.302 2.998
C 4.406 -3.677 12.682
C 3.475 -1.658 13.856
C -3.585 -1.684 15.419
C -14.897 -7.362 8.784
C -2.697 -1.282 7.894
C -3.300 -1.263 10.848
C -1.757 -0.369 16.629
C 0.100 -2.019 1.281
C -3.698 -3.182 9.323
C -4.170 0.413 9.206
C 1.627 -1.914 4.725
C -1.872 -3.676 15.152
C -0.772 -1.496 14.594
C -12.864 0.110 9.525
C -2.599 -1.578 19.054
C -2.949 3.805 16.996
C -13.721 -3.194 8.311
C -11.668 -2.075 9.268
C -5.243 -1.679 5.934
O -10.474 0.732 14.941
O -0.081 -1.165 13.725
O -13.926 -4.286 7.989
O -4.222 1.565 9.270
O 2.736 -1.518 14.738
O -1.856 -4.690 14.595
O -10.586 -2.412 9.508
O -11.271 1.109 17.906
O -1.483 -0.291 3.816
O -3.287 1.591 14.452
O -11.006 -5.129 15.582
O -8.597 -1.913 19.211
O -3.432 -4.300 9.441
O -13.546 -5.151 10.969
O -5.922 -4.668 7.642
O -11.640 -2.366 12.672
O 4.751 0.972 15.291
O 0.955 -2.157 5.635
O -6.670 1.209 7.445
O 4.243 -4.806 12.865
O -7.802 -2.369 15.856
O -12.496 1.124 9.945
O -5.434 -3.295 18.087
O -10.174 -2.986 22.075
O -2.894 -1.200 11.933
O -1.709 0.723 17.006
O -1.920 -1.210 7.042
O -4.679 -1.437 15.135
O -9.036 -2.069 6.946
O -7.831 -4.568 5.251
O -4.653 -1.657 4.939
O -7.678 -0.572 3.707
P 0.732 -3.208 10.059
P -6.155 -1.638 9.773
P 0.965 3.326 14.600
P -10.346 -6.906 8.177
P 3.189 -1.958 10.728
P -3.115 -5.820 4.382
P -13.210 -0.796 6.780
P 0.973 -0.471 9.752
P -7.267 -3.117 11.930
P -7.032 2.242 18.667
P -7.635 -0.378 11.839
P -0.406 -2.773 17.500
Cl -9.456 0.491 11.612
Cl -0.543 -4.069 11.384
Cl 1.078 0.427 7.931
Cl -5.824 0.632 18.423
Cl -2.975 -5.667 6.405
Cl -8.786 -4.455 11.869
Cl -2.016 -4.215 3.807
Cl -8.509 -6.308 8.758
Cl 2.022 2.721 12.992
Cl -10.950 -5.273 7.130
Cl -6.042 -4.018 13.280
Cl 1.148 1.695 15.796
Cl -8.199 2.092 17.008
Cl -0.162 0.874 10.754
Cl -6.787 0.905 13.182
Cl 0.538 -4.493 8.484
Fe -13.334 -1.539 8.935
Fe -10.755 -2.174 15.461
Fe -11.396 -1.841 18.177
Fe -15.349 -0.319 7.408
Fe -1.858 -2.026 15.904
Fe -6.175 -1.717 7.506
Fe -2.466 -3.239 18.361
Fe -3.965 -1.391 9.210

5.
10
Lattice="0.473 1.044 6.262 -2.954 -3.867 4.104 3.394 -3.969 3.641" Properties=species:S:1:pos:R:3 comment="KRb2CrF6, relaxed, DFT PBE with a Hubbard U" total_magnetization_mub_per_cell=3.000 space_group="Fm-3m, No. 225" pbc="T T T"
Rb 0.228 -1.698 3.502
Rb 0.685 -5.094 10.506
K 0.456 -3.396 7.004
Cr 0.000 0.000 0.000
F -1.206 -3.072 8.907
F 0.447 -5.909 7.423
F 0.466 -0.883 6.584
F 2.387 -3.129 8.645
F -1.474 -3.663 5.362
F 2.119 -3.720 5.100

6.
18
Lattice="-1.509 1.362 5.612 6.975 0.000 -0.103 -0.715 6.941 0.102" Properties=species:S:1:pos:R:3 comment="MnV2O6, relaxed, DFT PBE with a Hubbard U" space_group="P-1, No. 2" pbc="T T T"
O 2.812 3.845 5.304
O 1.940 4.459 0.306
O 3.480 3.067 2.498
O 5.957 1.842 1.951
O 1.561 1.650 4.038
O 0.467 6.798 0.855
O 4.283 1.505 4.758
O -0.784 3.768 4.380
O 3.190 6.655 1.573
O -1.206 6.462 3.661
O 1.272 5.237 3.112
O 5.536 4.535 1.231
Mn 5.317 6.650 1.406
Mn -0.568 1.652 4.212
V 1.740 5.816 1.472
V 3.011 2.488 4.138
V -0.098 5.296 4.279
V 4.850 3.007 1.332

The following final energy values (in Ha/atom) correspond, in order, to the records above: -0.186 -0.231 -0.269 -0.243 -0.186 -0.281.